Record 1
## LaAsIr (r²SCAN)

Data for a relaxed structure of LaAsIr.

Cell and atoms, written as extended XYZ:
```
12
Lattice="4.216 0.000 0.000 0.000 4.216 0.000 0.000 0.000 14.959" Properties=species:S:1:pos:R:3 pbc="T T T"
La 0.000 0.000 0.000
La 0.000 2.108 3.740
La 2.108 0.000 11.219
La 2.108 2.108 7.480
As 0.000 0.000 8.665
As 0.000 2.108 12.405
As 2.108 0.000 4.925
As 2.108 2.108 1.185
Ir 0.000 0.000 6.196
Ir 0.000 2.108 9.935
Ir 2.108 0.000 2.456
Ir 2.108 2.108 13.675
```

## Properties
DFT formation energy ... -1.196 eV per atom
Crystal system ... tetragonal


Record 2
## LaAs2Ir2 (r²SCAN)

Data for a relaxed structure of LaAs2Ir2.

Cell and atoms, written as extended XYZ:
```
10
Lattice="4.320 0.000 0.000 0.000 4.320 0.000 0.000 0.000 10.023" Properties=species:S:1:pos:R:3 pbc="T T T"
La 1.080 1.080 2.476
La 3.240 3.240 7.547
As 1.080 1.080 6.404
As 1.080 3.240 0.000
As 3.240 1.080 0.000
As 3.240 3.240 3.619
Ir 1.080 1.080 8.858
Ir 1.080 3.240 5.012
Ir 3.240 1.080 5.012
Ir 3.240 3.240 1.165
```

## Properties
DFT formation energy ... -0.918 eV per atom
Crystal system ... tetragonal


Record 3
## K2Mn3As3O12 (r²SCAN)

Data for a relaxed structure of K2Mn3As3O12.

Cell and atoms, written as extended XYZ:
```
40
Lattice="6.178 -6.517 0.000 6.178 6.517 0.000 -2.795 0.000 6.415" Properties=species:S:1:pos:R:3 pbc="T T T"
K 0.000 0.000 0.000
K -1.397 0.000 3.208
K 4.082 0.141 4.811
K 5.480 -0.141 1.604
Mn 2.412 2.083 2.367
Mn 5.480 3.385 1.604
Mn 1.015 -2.083 5.574
Mn 8.547 2.083 0.841
Mn 4.082 -3.385 4.811
Mn 7.150 -2.083 4.048
As 0.781 1.503 5.638
As 4.082 3.633 4.811
As 2.178 -1.503 2.431
As 7.384 1.503 3.984
As 5.480 -3.633 1.604
As 8.781 -1.503 0.777
O -0.876 1.518 5.356
O 2.811 4.751 4.642
O 1.540 2.433 4.410
O 3.928 2.146 0.774
O 0.521 -1.518 2.149
O 5.354 4.751 4.981
O 4.197 2.675 3.387
O 2.842 0.065 2.392
O 1.444 -0.065 5.600
O 3.967 2.675 6.236
O 2.938 -2.433 1.202
O 7.032 2.146 2.434
O 2.530 -2.146 3.981
O 6.624 2.433 5.213
O 5.595 -2.675 0.179
O 8.118 0.065 0.815
O 6.720 -0.065 4.023
O 5.365 -2.675 3.028
O 4.208 -4.751 1.434
O 9.041 1.518 4.266
O 5.634 -2.146 5.642
O 8.022 -2.433 2.005
O 6.751 -4.751 1.773
O 10.438 -1.518 1.059
```

## Properties
DFT formation energy ... -1.824 eV per atom
Crystal system ... monoclinic


Record 4
## K2MoAs2O9 (r²SCAN)

Data for a relaxed structure of K2MoAs2O9.

Cell and atoms, written as extended XYZ:
```
56
Lattice="7.452 0.000 0.000 0.000 13.905 0.000 -4.179 0.000 8.584" Properties=species:S:1:pos:R:3 pbc="T T T"
K -1.198 1.253 3.076
K -3.288 5.699 7.368
K -0.106 7.612 5.371
K 1.983 13.246 1.079
K 1.291 0.659 7.505
K 3.380 6.293 3.213
K 6.561 8.206 1.217
K 4.472 12.652 5.509
Mo 2.458 3.007 1.455
Mo 0.369 3.945 5.747
Mo 2.905 9.960 2.837
Mo 0.815 10.898 7.130
As -2.403 2.203 6.916
As -0.313 4.749 2.624
As -1.919 9.259 8.316
As 0.170 11.598 4.024
As 3.103 2.307 4.561
As 5.193 4.646 0.269
As 3.587 9.156 5.961
As 5.676 11.702 1.669
O -3.090 0.755 7.313
O -1.000 6.198 3.021
O -2.879 10.109 7.085
O -0.789 10.749 2.793
O -2.496 3.299 8.243
O -0.407 3.654 3.951
O 1.559 7.828 0.126
O -0.531 13.030 4.418
O -0.867 2.166 6.228
O 1.222 4.786 1.936
O 1.251 1.957 2.059
O -0.838 4.995 6.351
O 2.143 10.387 1.027
O 0.053 10.471 5.319
O -0.377 9.185 7.642
O 1.712 11.672 3.349
O 1.719 8.844 3.369
O -0.371 12.014 7.661
O 3.644 1.891 0.923
O 1.555 5.061 5.216
O 1.561 2.233 5.235
O 3.651 4.720 0.943
O 3.220 3.434 3.265
O 1.131 3.518 7.558
O 4.112 8.910 2.233
O 2.022 11.948 6.525
O 2.051 9.119 6.648
O 4.141 11.739 2.356
O 3.804 0.875 4.166
O 1.715 6.077 8.458
O 3.680 10.251 4.634
O 5.770 10.606 0.342
O 4.063 3.156 5.791
O 6.152 3.796 1.499
O 4.274 7.707 5.564
O 6.363 13.150 1.271
```

## Properties
DFT formation energy ... -1.822 eV per atom
Crystal system ... monoclinic


Record 5
## K7NbAs4 (r²SCAN)

Data for a relaxed structure of K7NbAs4.

Cell and atoms, written as extended XYZ:
```
24
Lattice="10.265 0.000 0.000 0.000 9.158 0.000 0.000 0.000 8.335" Properties=species:S:1:pos:R:3 pbc="T T T"
K 0.000 0.351 0.000
K 0.000 3.100 6.573
K 0.000 8.237 4.316
K 2.166 4.879 4.159
K 2.225 1.504 2.777
K 2.908 7.653 6.944
K 2.967 4.279 8.326
K 5.132 0.921 0.149
K 5.132 6.058 2.405
K 5.132 8.807 4.168
K 7.298 4.279 8.326
K 7.357 7.653 6.944
K 8.040 1.504 2.777
K 8.099 4.879 4.159
Nb 0.000 6.181 1.037
Nb 5.132 2.977 5.205
As 0.000 3.757 1.702
As 0.000 6.254 6.880
As 2.089 7.403 1.830
As 3.043 1.755 5.997
As 5.132 2.903 2.713
As 5.132 5.401 5.870
As 7.222 1.755 5.997
As 8.176 7.403 1.830
```

## Properties
DFT formation energy ... -0.634 eV per atom
Crystal system ... orthorhombic


Record 6
## K2NiAs2 (r²SCAN)

Data for a relaxed structure of K2NiAs2.

Cell and atoms, written as extended XYZ:
```
10
Lattice="3.294 -6.979 0.000 3.294 6.979 0.000 0.000 0.000 5.727" Properties=species:S:1:pos:R:3 pbc="T T T"
K 3.294 5.728 4.296
K 3.294 2.900 1.432
K 3.294 -2.900 4.296
K 3.294 -5.728 1.432
Ni 3.294 0.000 0.000
Ni 3.294 0.000 2.864
As 2.084 1.410 4.296
As 2.084 -1.410 1.432
As 4.504 1.410 4.296
As 4.504 -1.410 1.432
```

## Properties
DFT formation energy ... -0.529 eV per atom
Crystal system ... orthorhombic


Record 7
## K3AsO4 (r²SCAN)

Data for a relaxed structure of K3AsO4.

Cell and atoms, written as extended XYZ:
```
64
Lattice="5.527 -6.165 0.000 5.527 6.165 0.000 0.000 0.000 16.891" Properties=species:S:1:pos:R:3 pbc="T T T"
K 0.000 0.000 1.788
K 0.000 0.000 6.658
K 0.000 0.000 10.233
K 0.000 0.000 15.103
K 2.764 3.082 2.492
K 2.764 3.082 6.555
K 2.764 3.082 10.336
K 2.764 3.082 14.398
K 5.109 3.135 0.000
K 2.428 0.000 4.223
K 2.428 0.000 12.668
K 5.945 3.135 8.445
K 2.764 -3.082 1.890
K 2.764 -3.082 5.953
K 2.764 -3.082 10.938
K 2.764 -3.082 15.000
K 5.527 0.000 2.255
K 5.527 0.000 6.190
K 5.527 0.000 10.701
K 5.527 0.000 14.635
K 5.109 -3.135 8.445
K 8.627 0.000 4.223
K 8.627 0.000 12.668
K 5.945 -3.135 0.000
As 2.885 0.262 8.445
As 5.527 2.849 4.223
As 5.527 2.849 12.668
As 2.885 -0.262 0.000
As 8.169 0.262 0.000
As 5.527 -2.849 4.223
As 5.527 -2.849 12.668
As 8.169 -0.262 8.445
O 1.517 1.294 8.445
O 5.346 3.827 2.839
O 5.346 3.827 14.052
O 2.836 0.707 1.403
O 2.836 0.707 15.488
O 5.709 3.827 5.607
O 5.709 3.827 11.284
O 4.161 1.851 4.438
O 4.161 1.851 12.452
O 1.517 -1.294 0.000
O 4.271 1.250 8.445
O 2.836 -0.707 7.043
O 2.836 -0.707 9.848
O 6.893 1.851 4.007
O 6.893 1.851 12.884
O 4.271 -1.250 0.000
O 6.783 1.250 0.000
O 4.161 -1.851 4.007
O 4.161 -1.851 12.884
O 8.218 0.707 7.043
O 8.218 0.707 9.848
O 6.783 -1.250 8.445
O 9.537 1.294 0.000
O 6.893 -1.851 4.438
O 6.893 -1.851 12.452
O 5.346 -3.827 5.607
O 5.346 -3.827 11.284
O 8.218 -0.707 1.403
O 8.218 -0.707 15.488
O 5.709 -3.827 2.839
O 5.709 -3.827 14.052
O 9.537 -1.294 8.445
```

## Properties
DFT formation energy ... -1.871 eV per atom
Crystal system ... orthorhombic


Record 8
## K5As3O10 (r²SCAN)

Data for a relaxed structure of K5As3O10.

Cell and atoms, written as extended XYZ:
```
72
Lattice="7.959 0.000 0.000 0.000 7.987 0.000 0.000 0.000 19.217" Properties=species:S:1:pos:R:3 pbc="T T T"
K 0.079 1.913 2.446
K 1.614 3.975 14.993
K 1.758 4.184 18.948
K 1.972 0.111 14.539
K 1.984 0.001 0.026
K 1.995 7.986 9.635
K 2.007 7.876 4.930
K 2.221 3.803 9.339
K 2.365 4.012 5.385
K 3.900 6.074 12.055
K 4.059 2.080 16.770
K 5.593 0.019 4.224
K 5.738 7.797 0.269
K 5.951 3.882 4.678
K 5.964 3.993 19.191
K 5.974 3.994 9.582
K 5.987 4.105 14.287
K 6.201 0.190 9.878
K 6.345 7.968 13.832
K 7.880 5.907 7.162
As 0.142 5.853 2.768
As 0.222 5.784 11.580
As 0.607 2.566 12.022
As 3.372 5.421 2.414
As 3.757 2.203 1.972
As 3.837 2.134 12.376
As 4.122 6.128 16.449
As 4.201 6.197 7.637
As 4.587 1.427 7.195
As 7.351 6.560 16.803
As 7.737 1.790 17.245
As 7.817 1.859 6.841
O 0.004 2.154 13.514
O 7.955 6.148 15.311
O 0.232 6.262 18.196
O 0.251 5.732 9.896
O 0.299 5.671 4.437
O 0.353 0.474 7.622
O 0.608 3.290 7.273
O 1.102 4.269 12.133
O 1.234 6.955 12.207
O 1.337 1.754 16.641
O 1.817 6.165 2.115
O 2.163 1.822 11.723
O 2.643 6.234 7.032
O 2.745 1.032 2.598
O 2.878 3.719 2.524
O 3.372 4.697 16.882
O 3.626 7.513 17.231
O 3.680 2.316 14.045
O 3.728 2.255 0.288
O 3.748 1.726 8.588
O 3.983 1.839 5.703
O 3.976 5.833 3.906
O 4.211 5.719 1.021
O 4.231 6.249 9.320
O 4.279 6.309 14.780
O 4.332 3.520 11.595
O 4.587 0.703 11.944
O 5.081 7.712 7.084
O 5.214 5.026 7.010
O 5.316 2.240 2.576
O 5.796 5.816 17.102
O 6.142 2.171 7.494
O 6.622 5.747 12.185
O 6.725 2.961 16.619
O 6.857 0.275 16.693
O 7.351 7.284 2.335
O 7.606 4.467 1.986
O 7.659 1.678 5.172
O 7.708 1.738 18.929
O 7.727 2.268 10.629
```

## Properties
DFT formation energy ... -1.798 eV per atom
Crystal system ... orthorhombic


Size of the total moment (μB per cell)
0.000, 0.000, 28.000, 0.000, 0.000, 0.000, 0.000, 0.000